No. 1
A relaxed CsAsSe2 crystal. Source: Materials Project, functional PBE-GGA.

Values from the calculation:
Energy with MP2020 corrections: -128.126 eV for the cell shown
Volume: 148.4 Å³/f.u.

Lattice parameters (Å, degrees): 7.276 15.563 11.464 90.00 113.90 90.00
Positions (direct):
Cs: 0.187 0.204 0.042
Cs: 0.187 0.296 0.542
Cs: 0.291 0.602 0.064
Cs: 0.291 0.898 0.564
Cs: 0.709 0.102 0.436
Cs: 0.709 0.398 0.936
Cs: 0.813 0.704 0.458
Cs: 0.813 0.796 0.958
As: 0.041 0.511 0.331
As: 0.041 0.989 0.831
As: 0.413 0.564 0.657
As: 0.413 0.936 0.157
As: 0.587 0.064 0.843
As: 0.587 0.436 0.343
As: 0.959 0.011 0.169
As: 0.959 0.489 0.669
Se: 0.157 0.090 0.350
Se: 0.157 0.410 0.850
Se: 0.224 0.098 0.755
Se: 0.224 0.402 0.255
Se: 0.304 0.620 0.435
Se: 0.304 0.880 0.935
Se: 0.321 0.679 0.755
Se: 0.321 0.821 0.255
Se: 0.679 0.179 0.745
Se: 0.679 0.321 0.245
Se: 0.696 0.120 0.065
Se: 0.696 0.380 0.565
Se: 0.776 0.598 0.745
Se: 0.776 0.902 0.245
Se: 0.843 0.590 0.150
Se: 0.843 0.910 0.650

No. 2
A relaxed La3TaO7 crystal. Source: Materials Project, functional PBE-GGA.

Values from the calculation:
Energy above the lowest structure with this stoichiometry: 17 meV/atom
Energy with MP2020 corrections: -103.204 eV for the cell shown
Volume: 171.7 Å³/f.u.

Lattice parameters (Å, degrees): 6.793 6.793 3.969 90.00 90.00 110.33
Positions (direct):
La: 0.000 0.000 0.000
La: 0.000 0.500 0.500
La: 0.500 0.000 0.500
Ta: 0.500 0.500 0.000
O: 0.130 0.870 0.500
O: 0.186 0.434 0.000
O: 0.434 0.186 0.000
O: 0.500 0.500 0.500
O: 0.566 0.814 0.000
O: 0.814 0.566 0.000
O: 0.870 0.130 0.500

No. 3
A relaxed Li25Ca5La7Nb8O48 crystal. Source: Materials Project, functional PBE-GGA.

Values from the calculation:
Energy with MP2020 corrections: -677.755 eV for the cell shown
Volume: 1103.1 Å³/f.u.
Magnetization: 0.0 μB/cell

Lattice parameters (Å, degrees): 11.130 11.318 11.326 110.20 108.34 109.50
Positions (direct):
Li: 0.000 0.000 0.000
Li: 0.003 0.924 0.474
Li: 0.066 0.844 0.027
Li: 0.212 0.755 0.950
Li: 0.222 0.156 0.629
Li: 0.268 0.086 0.106
Li: 0.276 0.117 0.869
Li: 0.340 0.637 0.311
Li: 0.455 0.279 0.815
Li: 0.460 0.522 0.799
Li: 0.471 0.417 0.433
Li: 0.496 0.120 0.892
Li: 0.534 0.879 0.467
Li: 0.714 0.171 0.932
Li: 0.716 0.857 0.433
Li: 0.726 0.109 0.734
Li: 0.749 0.808 0.986
Li: 0.762 0.120 0.541
Li: 0.805 0.044 0.981
Li: 0.822 0.931 0.313
Li: 0.853 0.408 0.560
Li: 0.855 0.338 0.154
Li: 0.920 0.755 0.244
Li: 0.984 0.957 0.212
Li: 0.989 0.567 0.332
Ca: 0.248 0.170 0.423
Ca: 0.328 0.904 0.567
Ca: 0.348 0.404 0.060
Ca: 0.485 0.039 0.308
Ca: 0.965 0.036 0.770
La: 0.222 0.534 0.559
La: 0.479 0.886 0.932
La: 0.705 0.504 0.038
La: 0.740 0.628 0.430
La: 0.819 0.636 0.782
La: 0.866 0.172 0.310
La: 0.985 0.425 0.944
Nb: 0.103 0.784 0.694
Nb: 0.105 0.312 0.706
Nb: 0.109 0.294 0.180
Nb: 0.145 0.787 0.218
Nb: 0.551 0.753 0.158
Nb: 0.589 0.273 0.654
Nb: 0.592 0.269 0.190
Nb: 0.599 0.787 0.678
O: 0.003 0.357 0.562
O: 0.010 0.084 0.430
O: 0.023 0.383 0.307
O: 0.075 0.857 0.872
O: 0.087 0.679 0.012
O: 0.113 0.890 0.374
O: 0.128 0.696 0.523
O: 0.159 0.176 0.042
O: 0.174 0.191 0.774
O: 0.185 0.466 0.888
O: 0.192 0.454 0.149
O: 0.219 0.977 0.212
O: 0.224 0.704 0.777
O: 0.264 0.357 0.367
O: 0.264 0.362 0.655
O: 0.300 0.961 0.775
O: 0.326 0.816 0.331
O: 0.387 0.149 0.629
O: 0.408 0.798 0.083
O: 0.411 0.720 0.520
O: 0.429 0.074 0.100
O: 0.484 0.284 0.993
O: 0.489 0.264 0.477
O: 0.490 0.691 0.764
O: 0.506 0.672 0.274
O: 0.512 0.572 0.009
O: 0.519 0.391 0.273
O: 0.593 0.091 0.563
O: 0.596 0.972 0.794
O: 0.601 0.458 0.793
O: 0.630 0.617 0.590
O: 0.674 0.963 0.353
O: 0.676 0.158 0.078
O: 0.687 0.887 0.112
O: 0.691 0.292 0.867
O: 0.695 0.253 0.353
O: 0.712 0.889 0.601
O: 0.770 0.456 0.242
O: 0.779 0.754 0.298
O: 0.795 0.403 0.708
O: 0.800 0.873 0.857
O: 0.895 0.763 0.060
O: 0.901 0.605 0.602
O: 0.912 0.233 0.003
O: 0.923 0.208 0.720
O: 0.980 0.598 0.170
O: 0.981 0.100 0.162
O: 0.984 0.863 0.606

No. 4
A relaxed LiNbO3 crystal. Source: Materials Project, functional PBE-GGA.

Values from the calculation:
Energy with MP2020 corrections: -164.689 eV for the cell shown
Volume: 63.2 Å³/f.u.
Magnetization: 0.0 μB/cell

Lattice parameters (Å, degrees): 5.275 5.275 10.045 91.95 91.95 114.94
Positions (direct):
Li: 0.129 0.871 0.750
Li: 0.243 0.757 0.250
Li: 0.757 0.243 0.750
Li: 0.871 0.129 0.250
Nb: 0.177 0.324 0.988
Nb: 0.324 0.177 0.488
Nb: 0.676 0.823 0.512
Nb: 0.823 0.676 0.012
O: 0.018 0.108 0.617
O: 0.054 0.554 0.876
O: 0.108 0.018 0.117
O: 0.340 0.497 0.400
O: 0.446 0.946 0.624
O: 0.497 0.340 0.900
O: 0.503 0.660 0.100
O: 0.554 0.054 0.376
O: 0.660 0.503 0.600
O: 0.892 0.982 0.883
O: 0.946 0.446 0.124
O: 0.982 0.892 0.383

No. 5
A relaxed NaInSiSnS2O12 crystal. Source: Materials Project, functional PBE-GGA.

Values from the calculation:
Energy with MP2020 corrections: -718.077 eV for the cell shown
Volume: 264.7 Å³/f.u.
Magnetization: 0.0 μB/cell

Lattice parameters (Å, degrees): 8.868 8.868 23.345 90.14 90.14 59.90
Positions (direct):
Na: 0.006 0.994 0.500
Na: 0.293 0.342 0.166
Na: 0.342 0.293 0.666
Na: 0.642 0.682 0.834
Na: 0.682 0.642 0.334
Na: 0.994 0.006 0.000
In: 0.294 0.338 0.312
In: 0.338 0.294 0.812
In: 0.651 0.656 0.480
In: 0.656 0.651 0.980
In: 0.988 0.992 0.146
In: 0.992 0.988 0.646
Si: 0.017 0.320 0.414
Si: 0.320 0.017 0.914
Si: 0.358 0.947 0.580
Si: 0.702 0.987 0.747
Si: 0.947 0.358 0.080
Si: 0.987 0.702 0.247
Sn: 0.305 0.313 0.016
Sn: 0.313 0.305 0.516
Sn: 0.650 0.674 0.684
Sn: 0.674 0.650 0.184
Sn: 0.988 0.988 0.349
Sn: 0.988 0.988 0.849
S: 0.034 0.614 0.913
S: 0.287 0.688 0.749
S: 0.291 0.979 0.247
S: 0.318 0.611 0.416
S: 0.365 0.646 0.081
S: 0.611 0.318 0.916
S: 0.614 0.034 0.413
S: 0.646 0.365 0.581
S: 0.648 0.953 0.081
S: 0.688 0.287 0.249
S: 0.953 0.648 0.581
S: 0.979 0.291 0.747
O: 0.006 0.138 0.407
O: 0.007 0.792 0.190
O: 0.014 0.791 0.910
O: 0.015 0.182 0.696
O: 0.098 0.349 0.356
O: 0.119 0.511 0.861
O: 0.126 0.326 0.753
O: 0.133 0.493 0.576
O: 0.137 0.281 0.472
O: 0.138 0.006 0.907
O: 0.140 0.350 0.078
O: 0.141 0.538 0.966
O: 0.155 0.785 0.412
O: 0.159 0.509 0.248
O: 0.163 0.973 0.585
O: 0.182 0.015 0.196
O: 0.187 0.766 0.696
O: 0.187 0.798 0.086
O: 0.211 0.802 0.800
O: 0.213 0.953 0.300
O: 0.281 0.137 0.972
O: 0.297 0.526 0.468
O: 0.298 0.518 0.757
O: 0.326 0.126 0.253
O: 0.348 0.506 0.364
O: 0.349 0.098 0.856
O: 0.350 0.140 0.578
O: 0.357 0.482 0.075
O: 0.441 0.676 0.030
O: 0.442 0.837 0.522
O: 0.461 0.812 0.240
O: 0.467 0.662 0.744
O: 0.469 0.637 0.420
O: 0.470 0.625 0.134
O: 0.474 0.866 0.639
O: 0.482 0.357 0.575
O: 0.491 0.824 0.920
O: 0.493 0.133 0.076
O: 0.506 0.348 0.864
O: 0.509 0.159 0.748
O: 0.511 0.119 0.361
O: 0.518 0.298 0.257
O: 0.526 0.297 0.968
O: 0.538 0.141 0.466
O: 0.613 0.878 0.133
O: 0.625 0.470 0.634
O: 0.629 0.861 0.418
O: 0.637 0.469 0.920
O: 0.662 0.467 0.244
O: 0.670 0.851 0.029
O: 0.676 0.441 0.530
O: 0.689 0.805 0.746
O: 0.766 0.187 0.196
O: 0.785 0.155 0.912
O: 0.791 0.014 0.410
O: 0.792 0.007 0.690
O: 0.798 0.187 0.586
O: 0.802 0.211 0.300
O: 0.805 0.689 0.246
O: 0.806 0.968 0.087
O: 0.812 0.461 0.740
O: 0.818 0.956 0.806
O: 0.824 0.491 0.420
O: 0.837 0.442 0.022
O: 0.851 0.670 0.529
O: 0.861 0.629 0.918
O: 0.866 0.474 0.139
O: 0.878 0.613 0.633
O: 0.953 0.213 0.800
O: 0.956 0.818 0.306
O: 0.968 0.806 0.587
O: 0.973 0.163 0.085

No. 6
A relaxed Ca3Mo3N5 crystal. Source: Materials Project, functional PBE-GGA.

Values from the calculation:
Energy with MP2020 corrections: -176.932 eV for the cell shown
Volume: 159.8 Å³/f.u.
Magnetization: 0.0 μB/cell

Lattice parameters (Å, degrees): 5.835 7.278 8.343 106.70 101.72 101.45
Positions (direct):
Ca: 0.168 0.338 0.379
Ca: 0.177 0.145 0.698
Ca: 0.321 0.953 0.117
Ca: 0.679 0.047 0.883
Ca: 0.823 0.855 0.302
Ca: 0.832 0.662 0.621
Mo: 0.257 0.492 0.072
Mo: 0.343 0.613 0.779
Mo: 0.385 0.818 0.472
Mo: 0.615 0.182 0.528
Mo: 0.657 0.387 0.221
Mo: 0.743 0.508 0.928
N: 0.053 0.629 0.903
N: 0.247 0.027 0.395
N: 0.270 0.816 0.676
N: 0.446 0.280 0.978
N: 0.490 0.586 0.331
N: 0.510 0.414 0.669
N: 0.554 0.720 0.022
N: 0.730 0.184 0.324
N: 0.753 0.973 0.605
N: 0.947 0.371 0.097

No. 7
A relaxed Ca2Mg crystal. Source: Materials Project, functional PBE-GGA.

Values from the calculation:
Calculated total energy: -1.877 eV per atom
Volume: 104.4 Å³/f.u.
Magnetization: 0.0 μB/cell

Lattice parameters (Å, degrees): 3.751 18.585 5.988 90.00 90.00 90.00
Positions (direct):
Ca: 0.000 0.054 0.250
Ca: 0.000 0.271 0.750
Ca: 0.000 0.729 0.250
Ca: 0.000 0.946 0.750
Ca: 0.500 0.229 0.250
Ca: 0.500 0.446 0.750
Ca: 0.500 0.554 0.250
Ca: 0.500 0.771 0.750
Mg: 0.000 0.389 0.250
Mg: 0.000 0.611 0.750
Mg: 0.500 0.111 0.750
Mg: 0.500 0.889 0.250

No. 8
A relaxed Ca2SnS4 crystal. Source: Materials Project, functional PBE-GGA.

Values from the calculation:
Energy above the lowest structure with this stoichiometry: 148 meV/atom
Energy with MP2020 corrections: -70.572 eV for the cell shown
Volume: 171.1 Å³/f.u.
Magnetization: 0.0 μB/cell

Lattice parameters (Å, degrees): 13.921 3.960 7.143 90.00 119.67 90.00
Positions (direct):
Ca: 0.211 0.000 0.192
Ca: 0.289 0.500 0.808
Ca: 0.711 0.500 0.192
Ca: 0.789 0.000 0.808
Sn: 0.000 0.500 0.500
Sn: 0.500 0.000 0.500
S: 0.111 0.500 0.896
S: 0.133 0.000 0.495
S: 0.367 0.500 0.505
S: 0.389 0.000 0.104
S: 0.611 0.000 0.896
S: 0.633 0.500 0.495
S: 0.867 0.000 0.505
S: 0.889 0.500 0.104

No. 9
A relaxed Rb2GeB4O9 crystal. Source: Materials Project, functional PBE-GGA.

Values from the calculation:
Energy with MP2020 corrections: -481.278 eV for the cell shown
Volume: 228.1 Å³/f.u.
Magnetization: 0.0 μB/cell

Lattice parameters (Å, degrees): 6.729 10.067 13.468 90.00 90.36 90.00
Positions (direct):
Rb: 0.207 0.000 0.127
Rb: 0.244 0.274 0.381
Rb: 0.271 0.279 0.865
Rb: 0.281 0.059 0.617
Rb: 0.719 0.559 0.383
Rb: 0.729 0.779 0.135
Rb: 0.756 0.774 0.619
Rb: 0.793 0.500 0.873
Ge: 0.244 0.784 0.369
Ge: 0.254 0.775 0.884
Ge: 0.746 0.275 0.116
Ge: 0.756 0.284 0.631
B: 0.009 0.472 0.173
B: 0.098 0.449 0.660
B: 0.161 0.610 0.044
B: 0.167 0.589 0.516
B: 0.305 0.610 0.207
B: 0.358 0.583 0.744
B: 0.428 0.451 0.594
B: 0.457 0.471 0.077
B: 0.543 0.971 0.923
B: 0.572 0.951 0.406
B: 0.642 0.083 0.256
B: 0.695 0.110 0.793
B: 0.833 0.089 0.484
B: 0.839 0.110 0.956
B: 0.902 0.949 0.340
B: 0.991 0.972 0.827
O: 0.011 0.025 0.921
O: 0.025 0.539 0.579
O: 0.066 0.871 0.299
O: 0.087 0.689 0.959
O: 0.096 0.688 0.453
O: 0.113 0.867 0.795
O: 0.142 0.517 0.243
O: 0.166 0.539 0.745
O: 0.235 0.691 0.125
O: 0.264 0.368 0.626
O: 0.319 0.514 0.009
O: 0.360 0.545 0.512
O: 0.389 0.688 0.288
O: 0.406 0.875 0.447
O: 0.416 0.872 0.959
O: 0.424 0.680 0.811
O: 0.474 0.520 0.172
O: 0.500 0.037 0.320
O: 0.500 0.537 0.680
O: 0.526 0.020 0.828
O: 0.576 0.180 0.189
O: 0.584 0.372 0.041
O: 0.594 0.375 0.553
O: 0.611 0.188 0.712
O: 0.640 0.045 0.488
O: 0.681 0.014 0.991
O: 0.736 0.868 0.374
O: 0.765 0.191 0.875
O: 0.834 0.039 0.255
O: 0.858 0.017 0.757
O: 0.887 0.367 0.205
O: 0.904 0.188 0.547
O: 0.913 0.189 0.041
O: 0.934 0.371 0.701
O: 0.975 0.039 0.421
O: 0.989 0.525 0.079